1.
Compound: Na2PSe3
Source: the Materials Project database
Functional: meta-GGA r2SCAN
Structure: optimized geometry

Output
* DFT formation energy: -0.85 eV per atom

Cell lengths 8.8876, 8.8876, 8.0217 Å; angles 90.00, 90.00, 96.67 degrees
Last column: nearest neighbours and their distance in Å.
Element x y z (fractional)
Na: 0.1847 0.8153 0.8435  6 Se 3.10-3.19, 1 P 3.25
Na: 0.2222 0.2778 0.7500  6 Se 3.03-3.18
Na: 0.2778 0.2222 0.2500  6 Se 3.03-3.18
Na: 0.3153 0.6847 0.3435  6 Se 3.10-3.19, 1 P 3.25
Na: 0.6847 0.3153 0.6565  6 Se 3.10-3.19, 1 P 3.25
Na: 0.7222 0.7778 0.7500  6 Se 3.03-3.18
Na: 0.7778 0.7222 0.2500  6 Se 3.03-3.18
Na: 0.8153 0.1847 0.1565  6 Se 3.10-3.19, 1 P 3.25
P: 0.0782 0.9218 0.4462  3 Se 2.18-2.19, 1 P 2.25
P: 0.4218 0.5782 0.9462  3 Se 2.18-2.19, 1 P 2.25
P: 0.5782 0.4218 0.0538  3 Se 2.18-2.19, 1 P 2.25
P: 0.9218 0.0782 0.5538  3 Se 2.18-2.19, 1 P 2.25
Se: 0.0006 0.6931 0.5334  1 P 2.18
Se: 0.0532 0.9468 0.1764  1 P 2.19
Se: 0.1931 0.5006 0.0334  1 P 2.18
Se: 0.3069 0.9994 0.5334  1 P 2.18
Se: 0.4468 0.5532 0.6764  1 P 2.19
Se: 0.4994 0.8069 0.0334  1 P 2.18
Se: 0.5006 0.1931 0.9666  1 P 2.18
Se: 0.5532 0.4468 0.3236  1 P 2.19
Se: 0.6931 0.0006 0.4666  1 P 2.18
Se: 0.8069 0.4994 0.9666  1 P 2.18
Se: 0.9468 0.0532 0.8236  1 P 2.19
Se: 0.9994 0.3069 0.4666  1 P 2.18

---

2.
Compound: Na4Sr2SiP4
Source: the Materials Project database
Functional: meta-GGA r2SCAN
Structure: optimized geometry

Output
* DFT formation energy: -0.80 eV per atom

Cell lengths 9.2533, 9.2533, 7.2858 Å; angles 90.27, 90.27, 119.98 degrees
Last column: nearest neighbours and their distance in Å.
Element x y z (fractional)
Na: 0.0711 0.9289 0.5000  4 P 2.89-3.09
Na: 0.3207 0.8485 0.1972  5 P 3.06-3.20, 1 Si 3.18, 2 Na 3.24-3.26
Na: 0.5075 0.6602 0.0305  4 P 2.89-3.04
Na: 0.6553 0.9450 0.5207  4 P 2.91-3.08
Na: 0.6602 0.5075 0.5305  4 P 2.89-3.04
Na: 0.8485 0.3207 0.6972  5 P 3.06-3.20, 1 Si 3.18, 2 Na 3.24-3.26
Na: 0.9289 0.0711 0.0000  4 P 2.89-3.09
Na: 0.9450 0.6553 0.0207  4 P 2.91-3.08
Sr: 0.2620 0.3150 0.6931  6 P 3.04-3.37, 1 Si 3.22, 1 Na 3.39
Sr: 0.2642 0.7426 0.6943  5 P 3.04-3.18, 1 Si 3.22, 2 Na 3.35-3.39
Sr: 0.3150 0.2620 0.1931  6 P 3.04-3.37, 1 Si 3.22, 1 Na 3.39
Sr: 0.7426 0.2642 0.1943  5 P 3.04-3.18, 1 Si 3.22, 2 Na 3.35-3.39
Si: 0.1310 0.4660 0.3088  4 P 2.27-2.34
Si: 0.4660 0.1310 0.8088  4 P 2.27-2.34
P: 0.1299 0.4561 0.9927  1 Si 2.30
P: 0.1870 0.9895 0.9003  1 Si 2.34
P: 0.4023 0.5964 0.4121  1 Si 2.30
P: 0.4561 0.1299 0.4927  1 Si 2.30
P: 0.5928 0.9887 0.9055  1 Si 2.27
P: 0.5964 0.4023 0.9121  1 Si 2.30
P: 0.9895 0.1870 0.4003  1 Si 2.34
P: 0.9887 0.5928 0.4055  1 Si 2.27

---

3.
Compound: Na5SrTaP4
Source: the Materials Project database
Functional: meta-GGA r2SCAN
Structure: optimized geometry

Output
* DFT formation energy: -0.77 eV per atom

Cell lengths 9.2755, 9.2755, 7.3480 Å; angles 90.06, 90.06, 119.89 degrees
Last column: nearest neighbours and their distance in Å.
Element x y z (fractional)
Na: 0.0329 0.9671 0.5000  5 P 3.02-3.32, 1 Ta 3.28, 2 Na 3.30-3.36
Na: 0.2041 0.3409 0.6837  4 P 2.84-3.03
Na: 0.3409 0.2041 0.1837  4 P 2.84-3.03
Na: 0.3492 0.6292 0.1671  4 P 2.87-3.10
Na: 0.4282 0.9655 0.4994  5 P 2.98-3.30, 1 Ta 3.30, 1 Na 3.32
Na: 0.6292 0.3492 0.6671  4 P 2.87-3.10
Na: 0.6420 0.7839 0.6582  4 P 2.88-3.09
Na: 0.7839 0.6420 0.1582  4 P 2.88-3.09
Na: 0.9655 0.4282 0.9994  5 P 2.98-3.30, 1 Ta 3.30, 1 Na 3.32
Na: 0.9671 0.0329 0.0000  5 P 3.02-3.32, 1 Ta 3.28, 2 Na 3.30-3.36
Sr: 0.0269 0.5567 0.4956  5 P 3.01-3.23, 1 Ta 3.32
Sr: 0.5567 0.0269 0.9956  5 P 3.01-3.23, 1 Ta 3.32
Ta: 0.1554 0.8262 0.8894  4 P 2.37-2.41
Ta: 0.8262 0.1554 0.3894  4 P 2.37-2.41
P: 0.1088 0.3029 0.2915  1 Ta 2.39
P: 0.1647 0.8285 0.2138  1 Ta 2.38
P: 0.3023 0.6885 0.7849  1 Ta 2.41
P: 0.3029 0.1088 0.7915  1 Ta 2.39
P: 0.6854 0.8774 0.2803  1 Ta 2.37
P: 0.6885 0.3023 0.2849  1 Ta 2.41
P: 0.8285 0.1647 0.7138  1 Ta 2.38
P: 0.8774 0.6854 0.7803  1 Ta 2.37

---

4.
Compound: Na6P4W
Source: the Materials Project database
Functional: meta-GGA r2SCAN
Structure: optimized geometry

Output
* DFT formation energy: -0.54 eV per atom

Cell lengths 9.1000, 9.1000, 7.1312 Å; angles 90.00, 90.00, 120.00 degrees
Last column: nearest neighbours and their distance in Å.
Element x y z (fractional)
Na: 0.0653 0.5327 0.0000  5 P 2.95-3.18, 1 W 3.24, 2 Na 3.29
Na: 0.1477 0.2954 0.6773  4 P 2.88-2.94
Na: 0.1477 0.8523 0.6773  4 P 2.88-2.94
Na: 0.2954 0.1477 0.1773  4 P 2.88-2.94
Na: 0.4673 0.5327 0.0000  5 P 2.95-3.18, 1 W 3.24, 2 Na 3.29
Na: 0.4673 0.9347 0.0000  5 P 2.95-3.18, 1 W 3.24, 2 Na 3.29
Na: 0.5327 0.0653 0.5000  5 P 2.95-3.18, 1 W 3.24, 2 Na 3.29
Na: 0.5327 0.4673 0.5000  5 P 2.95-3.18, 1 W 3.24, 2 Na 3.29
Na: 0.7046 0.8523 0.6773  4 P 2.88-2.94
Na: 0.8523 0.1477 0.1773  4 P 2.88-2.94
Na: 0.8523 0.7046 0.1773  4 P 2.88-2.94
Na: 0.9347 0.4673 0.5000  5 P 2.95-3.18, 1 W 3.24, 2 Na 3.29
P: 0.1944 0.3888 0.2858  1 W 2.31
P: 0.1944 0.8056 0.2858  1 W 2.31
P: 0.3333 0.6667 0.7105  1 W 2.30
P: 0.3888 0.1944 0.7858  1 W 2.31
P: 0.6112 0.8056 0.2858  1 W 2.31
P: 0.6667 0.3333 0.2105  1 W 2.30
P: 0.8056 0.1944 0.7858  1 W 2.31
P: 0.8056 0.6112 0.7858  1 W 2.31
W: 0.3333 0.6667 0.3880  4 P 2.30-2.31
W: 0.6667 0.3333 0.8880  4 P 2.30-2.31

---

5.
Compound: NaPb3
Source: the Materials Project database
Functional: meta-GGA r2SCAN
Structure: optimized geometry

Output
* DFT formation energy: -0.17 eV per atom

Cell lengths 4.8974, 4.8974, 4.8974 Å; angles 90.00, 90.00, 90.00 degrees
Last column: nearest neighbours and their distance in Å.
Element x y z (fractional)
Na: 0.0000 0.0000 0.0000  12 Pb 3.46
Pb: 0.0000 0.5000 0.5000  8 Pb 3.46, 4 Na 3.46
Pb: 0.5000 0.0000 0.5000  8 Pb 3.46, 4 Na 3.46
Pb: 0.5000 0.5000 0.0000  8 Pb 3.46, 4 Na 3.46

---

6.
Compound: Na15Pb4
Source: the Materials Project database
Functional: meta-GGA r2SCAN
Structure: optimized geometry

Output
* DFT formation energy: -0.21 eV per atom

Cell lengths 11.3888, 11.3888, 11.3888 Å; angles 109.47, 109.47, 109.47 degrees
Last column: nearest neighbours and their distance in Å.
Element x y z (fractional)
Na: 0.0286 0.9163 0.6919  3 Pb 3.22-3.52, 5 Na 3.34-3.49
Na: 0.0837 0.2756 0.1123  3 Pb 3.22-3.52, 5 Na 3.34-3.49
Na: 0.1123 0.0837 0.2756  3 Pb 3.22-3.52, 5 Na 3.34-3.49
Na: 0.1250 0.7500 0.8750  8 Na 3.41, 4 Pb 3.55
Na: 0.1634 0.8877 0.4714  3 Pb 3.22-3.52, 5 Na 3.34-3.49
Na: 0.1919 0.4163 0.5286  3 Pb 3.22-3.52, 5 Na 3.34-3.49
Na: 0.2244 0.3081 0.8366  3 Pb 3.22-3.52, 5 Na 3.34-3.49
Na: 0.2500 0.6250 0.3750  8 Na 3.41, 4 Pb 3.55
Na: 0.2756 0.1123 0.0837  3 Pb 3.22-3.52, 5 Na 3.34-3.49
Na: 0.3081 0.8366 0.2244  3 Pb 3.22-3.52, 5 Na 3.34-3.49
Na: 0.3366 0.8081 0.7244  3 Pb 3.22-3.52, 5 Na 3.34-3.49
Na: 0.3750 0.2500 0.6250  8 Na 3.41, 4 Pb 3.55
Na: 0.3877 0.6634 0.9714  3 Pb 3.22-3.52, 5 Na 3.34-3.49
Na: 0.4163 0.5286 0.1919  3 Pb 3.22-3.52, 5 Na 3.34-3.49
Na: 0.4714 0.1634 0.8877  3 Pb 3.22-3.52, 5 Na 3.34-3.49
Na: 0.5286 0.1919 0.4163  3 Pb 3.22-3.52, 5 Na 3.34-3.49
Na: 0.5837 0.6123 0.7756  3 Pb 3.22-3.52, 5 Na 3.34-3.49
Na: 0.6123 0.7756 0.5837  3 Pb 3.22-3.52, 5 Na 3.34-3.49
Na: 0.6250 0.3750 0.2500  8 Na 3.41, 4 Pb 3.55
Na: 0.6634 0.9714 0.3877  3 Pb 3.22-3.52, 5 Na 3.34-3.49
Na: 0.6919 0.0286 0.9163  3 Pb 3.22-3.52, 5 Na 3.34-3.49
Na: 0.7244 0.3366 0.8081  3 Pb 3.22-3.52, 5 Na 3.34-3.49
Na: 0.7500 0.8750 0.1250  8 Na 3.41, 4 Pb 3.55
Na: 0.7756 0.5837 0.6123  3 Pb 3.22-3.52, 5 Na 3.34-3.49
Na: 0.8081 0.7244 0.3366  3 Pb 3.22-3.52, 5 Na 3.34-3.49
Na: 0.8366 0.2244 0.3081  3 Pb 3.22-3.52, 5 Na 3.34-3.49
Na: 0.8750 0.1250 0.7500  8 Na 3.41, 4 Pb 3.55
Na: 0.8877 0.4714 0.1634  3 Pb 3.22-3.52, 5 Na 3.34-3.49
Na: 0.9163 0.6919 0.0286  3 Pb 3.22-3.52, 5 Na 3.34-3.49
Na: 0.9714 0.3877 0.6634  3 Pb 3.22-3.52, 5 Na 3.34-3.49
Pb: 0.0000 0.0836 0.5000  12 Na 3.22-3.55
Pb: 0.0000 0.5836 0.5000  12 Na 3.22-3.55
Pb: 0.0836 0.5000 0.0000  12 Na 3.22-3.55
Pb: 0.4164 0.4164 0.4164  12 Na 3.22-3.55
Pb: 0.5000 0.0000 0.0836  12 Na 3.22-3.55
Pb: 0.5000 0.0000 0.5836  12 Na 3.22-3.55
Pb: 0.5836 0.5000 0.0000  12 Na 3.22-3.55
Pb: 0.9164 0.9164 0.9164  12 Na 3.22-3.55

---

7.
Compound: NaYbPb2
Source: the Materials Project database
Functional: meta-GGA r2SCAN
Structure: optimized geometry

Output
* DFT formation energy: -0.32 eV per atom

Cell lengths 5.3562, 5.3562, 5.3562 Å; angles 60.00, 60.00, 60.00 degrees
Last column: nearest neighbours and their distance in Å.
Element x y z (fractional)
Na: 0.0000 0.0000 0.0000  8 Pb 3.28
Yb: 0.5000 0.5000 0.5000  8 Pb 3.28
Pb: 0.2500 0.2500 0.2500  4 Na 3.28, 4 Yb 3.28
Pb: 0.7500 0.7500 0.7500  4 Yb 3.28, 4 Na 3.28

---

8.
Compound: Na2PdSe2
Source: the Materials Project database
Functional: meta-GGA r2SCAN
Structure: optimized geometry

Output
* DFT formation energy: -0.96 eV per atom

Cell lengths 5.6554, 5.6554, 11.2977 Å; angles 90.00, 90.00, 141.71 degrees
Last column: nearest neighbours and their distance in Å.
Element x y z (fractional)
Na: 0.0635 0.9365 0.5000  5 Se 2.93-3.05, 2 Pd 3.13
Na: 0.3251 0.6749 0.2788  6 Se 3.00-3.34, 2 Pd 3.28
Na: 0.6749 0.3251 0.7788  6 Se 3.00-3.34, 2 Pd 3.28
Na: 0.9365 0.0635 0.0000  5 Se 2.93-3.05, 2 Pd 3.13
Pd: 0.3645 0.6355 0.6208  4 Se 2.49
Pd: 0.6355 0.3645 0.1208  4 Se 2.49
Se: 0.0472 0.9528 0.2412  2 Pd 2.49
Se: 0.2223 0.7777 0.9993  2 Pd 2.49
Se: 0.7777 0.2223 0.4993  2 Pd 2.49
Se: 0.9528 0.0472 0.7412  2 Pd 2.49

---

Question: What is the formula in the seventh record?
Answer: NaYbPb2

---

Question: Among the records above, which one has the highest DFT formation energy?
Answer: NaPb3

---

What did the third record say?
Compound: Na5SrTaP4
Source: the Materials Project database
Functional: meta-GGA r2SCAN
Structure: optimized geometry

Output
* DFT formation energy: -0.77 eV per atom

Cell lengths 9.2755, 9.2755, 7.3480 Å; angles 90.06, 90.06, 119.89 degrees
Last column: nearest neighbours and their distance in Å.
Element x y z (fractional)
Na: 0.0329 0.9671 0.5000  5 P 3.02-3.32, 1 Ta 3.28, 2 Na 3.30-3.36
Na: 0.2041 0.3409 0.6837  4 P 2.84-3.03
Na: 0.3409 0.2041 0.1837  4 P 2.84-3.03
Na: 0.3492 0.6292 0.1671  4 P 2.87-3.10
Na: 0.4282 0.9655 0.4994  5 P 2.98-3.30, 1 Ta 3.30, 1 Na 3.32
Na: 0.6292 0.3492 0.6671  4 P 2.87-3.10
Na: 0.6420 0.7839 0.6582  4 P 2.88-3.09
Na: 0.7839 0.6420 0.1582  4 P 2.88-3.09
Na: 0.9655 0.4282 0.9994  5 P 2.98-3.30, 1 Ta 3.30, 1 Na 3.32
Na: 0.9671 0.0329 0.0000  5 P 3.02-3.32, 1 Ta 3.28, 2 Na 3.30-3.36
Sr: 0.0269 0.5567 0.4956  5 P 3.01-3.23, 1 Ta 3.32
Sr: 0.5567 0.0269 0.9956  5 P 3.01-3.23, 1 Ta 3.32
Ta: 0.1554 0.8262 0.8894  4 P 2.37-2.41
Ta: 0.8262 0.1554 0.3894  4 P 2.37-2.41
P: 0.1088 0.3029 0.2915  1 Ta 2.39
P: 0.1647 0.8285 0.2138  1 Ta 2.38
P: 0.3023 0.6885 0.7849  1 Ta 2.41
P: 0.3029 0.1088 0.7915  1 Ta 2.39
P: 0.6854 0.8774 0.2803  1 Ta 2.37
P: 0.6885 0.3023 0.2849  1 Ta 2.41
P: 0.8285 0.1647 0.7138  1 Ta 2.38
P: 0.8774 0.6854 0.7803  1 Ta 2.37